[1]
Na10Zn6Si3Ge2S9O48 | PBE | optimized geometry

## Properties
MP2020-corrected energy = -6.204 eV/atom
Total moment = 0.00 μB/cell
Energy relative to the elements = -2.089 eV per atom

abc: 17.748 8.945 22.023
angles: 90.46 89.56 120.37
Fractional coordinates of all 234 atoms:
O (0.007, 0.196, 0.919)
O (0.682, 0.881, 0.857)
Zn (0.001, 0.979, 0.347)
O (0.731, 0.158, 0.242)
O (0.755, 0.826, 0.079)
O (0.661, 0.858, 0.968)
S (0.664, 0.368, 0.417)
O (0.087, 0.707, 0.473)
Na (0.506, 0.005, 0.500)
O (0.078, 0.974, 0.191)
Na (0.830, 0.689, 0.082)
O (0.568, 0.514, 0.856)
O (0.821, 0.133, 0.423)
O (0.088, 0.465, 0.253)
O (0.762, 0.671, 0.582)
O (0.251, 0.687, 0.260)
S (0.177, 0.033, 0.586)
S (0.502, 0.711, 0.752)
O (0.398, 0.968, 0.696)
Na (0.160, 0.664, 0.161)
Si (0.644, 0.291, 0.749)
O (0.317, 0.136, 0.420)
Na (0.816, 0.630, 0.745)
O (0.927, 0.537, 0.739)
O (0.069, 0.468, 0.970)
Na (0.982, 0.303, 0.415)
Na (0.853, 0.663, 0.416)
O (0.578, 0.187, 0.691)
O (0.772, 0.848, 0.470)
O (0.856, 0.129, 0.021)
S (0.001, 0.715, 0.748)
O (0.161, 0.460, 0.471)
O (0.586, 0.193, 0.412)
O (0.929, 0.298, 0.530)
O (0.356, 0.578, 0.521)
Ge (0.493, 0.992, 0.153)
O (0.729, 0.101, 0.641)
O (0.569, 0.671, 0.085)
O (0.113, 0.050, 0.311)
O (0.840, 0.162, 0.745)
O (0.397, 0.852, 0.198)
S (0.314, 0.665, 0.916)
O (0.243, 0.346, 0.416)
O (0.664, 0.466, 0.085)
O (0.841, 0.526, 0.241)
S (0.668, 0.959, 0.914)
O (0.246, 0.132, 0.920)
Na (0.352, 0.670, 0.421)
Ge (0.661, 0.645, 0.809)
Na (0.828, 0.328, 0.331)
S (0.164, 0.956, 0.917)
O (0.093, 0.168, 0.089)
O (0.588, 0.470, 0.974)
Zn (0.165, 0.664, 0.016)
O (0.350, 0.131, 0.029)
O (0.486, 0.820, 0.093)
Na (0.663, 0.300, 0.919)
Na (0.675, 0.690, 0.164)
O (0.820, 0.118, 0.143)
Na (0.328, 0.330, 0.834)
Na (0.354, 0.042, 0.917)
O (0.423, 0.023, 0.089)
Na (0.502, 0.016, 0.001)
Ge (0.502, 0.016, 0.645)
O (0.341, 0.519, 0.245)
O (0.249, 0.666, 0.578)
O (0.830, 0.543, 0.640)
O (0.398, 0.015, 0.807)
O (0.271, 0.695, 0.969)
Zn (0.349, 0.368, 0.496)
O (0.982, 0.150, 0.589)
Zn (0.171, 0.683, 0.519)
O (0.163, 0.858, 0.584)
Zn (0.671, 0.665, 0.318)
Zn (0.335, 0.331, 0.983)
O (0.318, 0.530, 0.643)
S (0.000, 0.293, 0.253)
O (0.404, 0.994, 0.408)
O (0.763, 0.881, 0.360)
O (0.488, 0.782, 0.809)
Na (0.173, 0.672, 0.662)
O (0.431, 0.569, 0.031)
Zn (0.332, 0.349, 0.677)
Si (0.143, 0.998, 0.249)
Si (0.149, 0.293, 0.749)
O (0.679, 0.475, 0.362)
O (0.744, 0.332, 0.740)
O (0.928, 0.327, 0.246)
O (0.935, 0.334, 0.641)
O (0.322, 0.509, 0.922)
Na (0.185, 0.015, 0.755)
O (0.583, 0.472, 0.250)
O (0.429, 0.533, 0.745)
Ge (0.160, 0.677, 0.308)
S (0.315, 0.969, 0.414)
O (0.430, 0.505, 0.416)
O (0.667, 0.855, 0.577)
O (0.085, 0.970, 0.915)
O (0.761, 0.683, 0.250)
Si (0.523, 0.381, 0.919)
O (0.226, 0.308, 0.031)
Na (0.162, 0.026, 0.417)
O (0.083, 0.707, 0.751)
S (0.483, 0.331, 0.585)
O (0.928, 0.354, 0.919)
S (0.677, 0.315, 0.087)
O (0.069, 0.624, 0.355)
O (0.150, 0.817, 0.252)
O (0.650, 0.840, 0.249)
O (0.430, 0.847, 0.595)
O (0.520, 0.211, 0.191)
Zn (0.326, 0.335, 0.183)
O (0.109, 0.160, 0.805)
Zn (0.005, 0.017, 0.847)
O (0.508, 0.185, 0.913)
O (0.154, 0.481, 0.751)
O (0.262, 0.854, 0.082)
O (0.017, 0.830, 0.692)
O (0.585, 0.964, 0.912)
S (0.682, 0.032, 0.583)
O (0.759, 0.636, 0.858)
O (0.084, 0.204, 0.412)
O (0.584, 0.969, 0.194)
O (0.606, 0.023, 0.305)
Na (0.012, 0.021, 0.999)
O (0.923, 0.824, 0.591)
S (0.978, 0.317, 0.586)
O (0.090, 0.028, 0.589)
O (0.904, 0.029, 0.818)
Zn (0.844, 0.320, 0.997)
O (0.992, 0.816, 0.089)
O (0.744, 0.139, 0.917)
Si (0.022, 0.664, 0.418)
Na (0.999, 0.356, 0.752)
S (0.016, 0.371, 0.917)
O (0.734, 0.344, 0.139)
Zn (0.504, 0.025, 0.848)
Na (0.164, 0.352, 0.588)
Na (0.496, 0.632, 0.253)
O (0.818, 0.499, 0.919)
O (0.749, 0.812, 0.760)
Na (0.334, 0.332, 0.331)
Si (0.337, 0.653, 0.584)
O (0.276, 0.854, 0.466)
Zn (0.503, 0.001, 0.350)
O (0.928, 0.560, 0.031)
O (0.432, 0.301, 0.529)
O (0.182, 0.483, 0.359)
Zn (0.826, 0.317, 0.683)
O (0.851, 0.570, 0.529)
S (0.838, 0.646, 0.586)
O (0.169, 0.482, 0.077)
S (0.338, 0.032, 0.085)
S (0.646, 0.003, 0.249)
O (0.073, 0.661, 0.079)
O (0.494, 0.172, 0.588)
Zn (0.833, 0.320, 0.178)
O (0.989, 0.198, 0.309)
Zn (0.165, 0.648, 0.818)
S (0.167, 0.374, 0.415)
S (0.985, 0.639, 0.086)
S (0.816, 0.662, 0.915)
O (0.440, 0.344, 0.640)
O (0.649, 0.483, 0.753)
Na (0.311, 0.622, 0.742)
Zn (0.666, 0.669, 0.021)
S (0.480, 0.642, 0.088)
O (0.405, 0.822, 0.914)
O (0.892, 0.939, 0.698)
O (0.777, 0.692, 0.970)
S (0.849, 0.697, 0.248)
O (0.159, 0.855, 0.970)
O (0.055, 0.460, 0.858)
Si (0.849, 0.993, 0.757)
O (0.177, 0.876, 0.859)
S (0.182, 0.332, 0.084)
Zn (0.664, 0.664, 0.516)
O (0.902, 0.983, 0.413)
Na (0.484, 0.662, 0.917)
O (0.745, 0.355, 0.421)
O (0.727, 0.144, 0.531)
Na (0.852, 0.032, 0.920)
O (0.943, 0.539, 0.141)
O (0.436, 0.538, 0.142)
O (0.261, 0.887, 0.356)
S (0.354, 0.002, 0.749)
Na (0.186, 0.356, 0.252)
O (0.426, 0.364, 0.920)
O (0.068, 0.464, 0.583)
O (0.347, 0.157, 0.741)
O (0.904, 0.816, 0.908)
O (0.894, 0.810, 0.193)
S (0.506, 0.295, 0.248)
O (0.079, 0.198, 0.688)
Zn (0.834, 0.339, 0.483)
Ge (0.991, 0.002, 0.655)
Na (0.316, 0.003, 0.245)
O (0.571, 0.673, 0.468)
Si (0.834, 0.027, 0.085)
O (0.265, 0.845, 0.749)
O (0.614, 0.176, 0.810)
Na (0.661, 0.656, 0.661)
O (0.426, 0.309, 0.241)
O (0.655, 0.451, 0.473)
O (0.927, 0.006, 0.096)
Na (0.686, 0.018, 0.751)
O (0.220, 0.139, 0.531)
O (0.588, 0.710, 0.754)
O (0.230, 0.358, 0.142)
O (0.714, 0.292, 0.029)
O (0.516, 0.824, 0.699)
O (0.247, 0.319, 0.743)
O (0.269, 0.650, 0.858)
O (0.007, 0.830, 0.412)
Ge (0.000, 0.999, 0.149)
O (0.228, 0.119, 0.642)
O (0.925, 0.487, 0.419)
O (0.594, 0.023, 0.587)
O (0.560, 0.655, 0.356)
O (0.331, 0.119, 0.140)
Si (0.352, 0.709, 0.256)
O (0.409, 0.786, 0.316)
Na (0.835, 0.335, 0.831)
Na (0.995, 0.974, 0.500)
S (0.812, 0.960, 0.417)
O (0.588, 0.148, 0.093)
O (0.510, 0.821, 0.417)
O (0.982, 0.784, 0.802)
O (0.243, 0.156, 0.240)
O (0.897, 0.777, 0.305)
O (0.493, 0.189, 0.301)
O (0.014, 0.205, 0.199)
O (0.572, 0.486, 0.581)
S (0.519, 0.665, 0.415)


[2]
Na6Zn6SiGe2S11O48 | PBE | optimized geometry

## Properties
MP2020-corrected energy = -6.204 eV/atom
Total moment = 0.00 μB/cell
Energy relative to the elements = -1.972 eV per atom

abc: 17.355 8.705 22.174
angles: 89.95 89.83 120.00
Fractional coordinates of all 222 atoms:
Na (0.347, 0.664, 0.413)
S (0.666, 0.375, 0.414)
O (0.112, 0.035, 0.303)
Zn (0.504, 0.007, 0.152)
O (0.481, 0.787, 0.804)
O (0.747, 0.363, 0.415)
Ge (0.496, 0.007, 0.848)
O (0.592, 0.172, 0.086)
O (0.426, 0.317, 0.531)
Zn (0.169, 0.667, 0.317)
O (0.917, 0.781, 0.308)
S (0.682, 0.334, 0.083)
O (0.253, 0.850, 0.078)
S (0.501, 0.306, 0.254)
S (0.821, 0.674, 0.915)
O (0.763, 0.858, 0.080)
O (0.156, 0.461, 0.758)
S (0.688, 0.048, 0.584)
Na (0.517, 0.022, 0.501)
O (0.180, 0.479, 0.364)
Na (0.334, 0.325, 0.837)
O (0.339, 0.521, 0.246)
O (0.672, 0.885, 0.860)
O (0.769, 0.648, 0.861)
O (0.586, 0.199, 0.409)
Na (0.334, 0.959, 0.592)
Si (0.352, 0.000, 0.745)
O (0.683, 0.873, 0.583)
Na (0.667, 0.666, 0.677)
O (0.087, 0.159, 0.094)
Zn (0.667, 0.667, 0.011)
O (0.412, 0.842, 0.910)
O (0.922, 0.307, 0.242)
S (0.333, 0.033, 0.083)
Na (0.837, 0.336, 0.334)
O (0.406, 0.528, 0.745)
O (0.828, 0.122, 0.140)
Ge (0.672, 0.674, 0.316)
O (0.059, 0.653, 0.358)
O (0.080, 0.473, 0.248)
O (0.436, 0.361, 0.641)
O (0.322, 0.114, 0.138)
O (0.399, 0.781, 0.307)
O (0.215, 0.291, 0.031)
O (0.422, 0.040, 0.803)
O (0.434, 0.509, 0.414)
O (0.928, 0.504, 0.418)
Na (0.835, 0.961, 0.592)
O (0.815, 0.132, 0.418)
S (0.484, 0.630, 0.083)
Na (0.166, 0.665, 0.677)
Na (0.684, 0.360, 0.243)
O (0.924, 0.030, 0.089)
O (0.182, 0.870, 0.584)
O (0.172, 0.885, 0.860)
O (0.276, 0.862, 0.475)
O (0.928, 0.332, 0.920)
S (0.495, 0.700, 0.749)
O (0.949, 0.550, 0.144)
O (0.339, 0.536, 0.527)
Na (0.000, 0.999, 0.999)
O (0.067, 0.505, 0.582)
O (0.425, 0.543, 0.031)
O (0.601, 0.210, 0.694)
O (0.742, 0.314, 0.746)
Na (0.512, 0.020, 0.001)
O (0.063, 0.469, 0.860)
S (0.995, 0.700, 0.750)
Zn (0.335, 0.335, 0.180)
O (0.890, 0.979, 0.683)
O (0.012, 0.805, 0.695)
Na (0.993, 0.633, 0.255)
O (0.565, 0.658, 0.758)
O (0.991, 0.184, 0.589)
O (0.263, 0.879, 0.365)
Ge (0.990, 0.992, 0.152)
O (0.574, 0.689, 0.469)
O (0.651, 0.819, 0.261)
O (0.236, 0.151, 0.919)
O (0.570, 0.439, 0.969)
O (0.924, 0.311, 0.531)
O (0.564, 0.469, 0.859)
O (0.728, 0.348, 0.142)
O (0.645, 0.863, 0.969)
Na (0.833, 0.325, 0.837)
O (0.149, 0.837, 0.249)
S (0.166, 0.364, 0.417)
Na (0.168, 0.671, 0.165)
O (0.738, 0.138, 0.248)
S (0.018, 0.666, 0.416)
Na (0.010, 0.998, 0.497)
O (0.568, 0.506, 0.582)
S (0.149, 0.290, 0.749)
O (0.736, 0.149, 0.920)
S (0.647, 0.987, 0.254)
O (0.995, 0.192, 0.302)
O (0.823, 0.508, 0.642)
Zn (0.161, 0.654, 0.517)
O (0.248, 0.134, 0.640)
O (0.899, 0.978, 0.412)
Si (0.851, 0.001, 0.745)
O (0.522, 0.231, 0.201)
O (0.894, 0.833, 0.191)
O (0.010, 0.827, 0.416)
Na (0.332, 0.691, 0.080)
O (0.014, 0.183, 0.909)
O (0.075, 0.982, 0.905)
O (0.730, 0.314, 0.032)
O (0.423, 0.328, 0.247)
O (0.921, 0.042, 0.803)
O (0.390, 0.979, 0.682)
O (0.512, 0.803, 0.694)
Zn (0.498, 0.002, 0.347)
O (0.609, 0.169, 0.803)
S (0.177, 0.322, 0.086)
O (0.428, 0.331, 0.917)
O (0.914, 0.791, 0.588)
O (0.513, 0.826, 0.408)
O (0.336, 0.521, 0.922)
O (0.260, 0.686, 0.253)
S (0.838, 0.040, 0.085)
O (0.490, 0.808, 0.087)
O (0.076, 0.672, 0.079)
O (0.837, 0.524, 0.922)
O (0.515, 0.182, 0.908)
Zn (0.663, 0.659, 0.520)
O (0.994, 0.829, 0.091)
Zn (0.675, 0.682, 0.817)
Ge (0.995, 0.006, 0.847)
O (0.405, 0.975, 0.415)
S (0.833, 0.614, 0.586)
O (0.728, 0.148, 0.529)
S (0.811, 0.959, 0.418)
O (0.753, 0.638, 0.586)
O (0.065, 0.659, 0.759)
O (0.656, 0.461, 0.758)
O (0.754, 0.835, 0.755)
O (0.907, 0.528, 0.745)
O (0.085, 0.974, 0.194)
S (0.020, 0.364, 0.914)
O (0.071, 0.440, 0.969)
S (0.986, 0.647, 0.087)
O (0.569, 0.646, 0.359)
S (0.186, 0.044, 0.586)
O (0.017, 0.208, 0.192)
Si (0.853, 0.706, 0.252)
Ge (0.335, 0.328, 0.690)
O (0.341, 0.136, 0.028)
S (0.524, 0.668, 0.414)
O (0.234, 0.355, 0.139)
Zn (0.997, 0.997, 0.656)
O (0.445, 0.529, 0.139)
S (0.660, 0.968, 0.913)
Zn (0.161, 0.673, 0.010)
O (0.395, 0.808, 0.196)
S (0.480, 0.342, 0.584)
O (0.930, 0.563, 0.034)
O (0.158, 0.446, 0.473)
O (0.751, 0.685, 0.260)
S (0.147, 0.005, 0.247)
Zn (0.834, 0.340, 0.180)
O (0.835, 0.506, 0.243)
O (0.224, 0.144, 0.531)
O (0.236, 0.156, 0.238)
O (0.249, 0.351, 0.419)
Na (0.328, 0.315, 0.329)
O (0.285, 0.700, 0.974)
O (0.489, 0.203, 0.309)
O (0.675, 0.482, 0.357)
O (0.167, 0.481, 0.079)
Zn (0.174, 0.682, 0.816)
O (0.847, 0.192, 0.743)
O (0.415, 0.793, 0.586)
O (0.102, 0.210, 0.694)
O (0.329, 0.146, 0.421)
O (0.254, 0.639, 0.584)
O (0.491, 0.184, 0.588)
S (0.322, 0.673, 0.917)
S (0.349, 0.699, 0.250)
O (0.109, 0.169, 0.803)
S (0.649, 0.290, 0.749)
O (0.937, 0.363, 0.641)
Ge (0.836, 0.330, 0.689)
O (0.347, 0.191, 0.743)
O (0.144, 0.867, 0.969)
O (0.769, 0.858, 0.474)
S (0.980, 0.341, 0.584)
O (0.573, 0.653, 0.076)
O (0.748, 0.136, 0.639)
Na (0.668, 0.679, 0.159)
O (0.753, 0.866, 0.363)
Zn (0.330, 0.322, 0.482)
O (0.600, 0.028, 0.592)
O (0.913, 0.843, 0.908)
O (0.254, 0.833, 0.755)
Zn (0.998, 0.989, 0.349)
S (0.334, 0.617, 0.583)
S (0.002, 0.291, 0.248)
O (0.324, 0.505, 0.638)
O (0.412, 0.011, 0.087)
O (0.674, 0.493, 0.078)
Zn (0.498, 0.997, 0.657)
O (0.851, 0.144, 0.031)
S (0.520, 0.364, 0.913)
S (0.160, 0.970, 0.913)
S (0.316, 0.966, 0.419)
Zn (0.835, 0.334, 0.985)
O (0.575, 0.980, 0.906)
O (0.098, 0.024, 0.595)
O (0.783, 0.705, 0.969)
O (0.087, 0.187, 0.412)
O (0.242, 0.315, 0.746)
O (0.266, 0.650, 0.865)
Zn (0.834, 0.336, 0.479)
O (0.982, 0.788, 0.804)
O (0.070, 0.677, 0.469)
O (0.837, 0.527, 0.531)
O (0.595, 0.958, 0.199)
O (0.655, 0.461, 0.468)
O (0.607, 0.023, 0.307)
O (0.584, 0.487, 0.260)
Zn (0.331, 0.326, 0.984)


- MP2020-corrected energy of number 2 (Na6Zn6SiGe2S11O48)?
  -6.204 eV/atom